No. 1
# NdSi2Pt2, relaxed, DFT PBE
# DFT formation energy: -98.7 kJ/mol of atoms
# Total magnetization: 0.02 μB per cell
data_NdSi2Pt2
_chemical_formula_sum 'Nd2 Si4 Pt4'
_cell_length_a 4.317
_cell_length_b 4.317
_cell_length_c 9.933
_cell_angle_alpha 90.00
_cell_angle_beta 90.00
_cell_angle_gamma 90.00
_symmetry_space_group_name_H-M 'I 4/m m m'
_symmetry_Int_Tables_number 139
_symmetry_space_group_name_Hall '-I 4 2'
loop_
_atom_site_label
_atom_site_fract_x
_atom_site_fract_y
_atom_site_fract_z
Nd1 0.000 0.000 0.000
Si1 0.000 0.500 0.250
Pt1 0.000 0.000 0.362


No. 2
# YPd2, relaxed, DFT PBE
# DFT formation energy: -58.1 kJ/mol of atoms
# Total magnetization: 0.00 μB per cell
data_YPd2
_chemical_formula_sum 'Y2 Pd4'
_cell_length_a 3.939
_cell_length_b 3.939
_cell_length_c 8.534
_cell_angle_alpha 90.00
_cell_angle_beta 90.00
_cell_angle_gamma 90.00
_symmetry_space_group_name_H-M 'I 4/m m m'
_symmetry_Int_Tables_number 139
_symmetry_space_group_name_Hall '-I 4 2'
loop_
_atom_site_label
_atom_site_fract_x
_atom_site_fract_y
_atom_site_fract_z
Y1 0.000 0.000 0.000
Pd1 0.000 0.500 0.250


No. 3
# Ce4Se3N2, relaxed, DFT PBE
# DFT formation energy: -175.6 kJ/mol of atoms
data_Ce4Se3N2
_chemical_formula_sum 'Ce16 Se12 N8'
_cell_length_a 12.969
_cell_length_b 10.051
_cell_length_c 6.417
_cell_angle_alpha 90.00
_cell_angle_beta 90.19
_cell_angle_gamma 90.00
_symmetry_space_group_name_H-M 'C 1 2/c 1'
_symmetry_Int_Tables_number 15
loop_
_symmetry_equiv_pos_as_xyz
'x,y,z'
'-x,-y,-z'
'-x,y,-z+1/2'
'x,-y,z+1/2'
'x+1/2,y+1/2,z'
'-x+1/2,-y+1/2,-z'
'-x+1/2,y+1/2,-z+1/2'
'x+1/2,-y+1/2,z+1/2'
loop_
_atom_site_label
_atom_site_fract_x
_atom_site_fract_y
_atom_site_fract_z
Ce1 0.124 0.181 0.470
Ce2 0.164 0.423 0.927
Se1 0.000 0.402 0.250
Se2 0.115 0.129 0.967
N1 0.206 0.374 0.586


No. 4
# Zn3Se4O14, relaxed, DFT PBE
# DFT formation energy: -95.8 kJ/mol of atoms
# Total magnetization: 12.00 μB per cell
data_Zn3Se4O14
_chemical_formula_sum 'Zn6 Se8 O28'
_cell_length_a 8.824
_cell_length_b 9.438
_cell_length_c 8.276
_cell_angle_alpha 90.00
_cell_angle_beta 111.56
_cell_angle_gamma 90.00
_symmetry_space_group_name_H-M 'P 1 21/c 1'
_symmetry_Int_Tables_number 14
loop_
_symmetry_equiv_pos_as_xyz
'x,y,z'
'-x,-y,-z'
'-x,y+1/2,-z+1/2'
'x,-y+1/2,z+1/2'
loop_
_atom_site_label
_atom_site_fract_x
_atom_site_fract_y
_atom_site_fract_z
Zn1 0.000 0.000 0.000
Zn2 0.099 0.126 0.438
Se1 0.164 0.697 0.844
Se2 0.382 0.178 0.250
O1 0.010 0.178 0.849
O2 0.104 0.590 0.982
O3 0.132 0.633 0.397
O4 0.210 0.078 0.234
O5 0.301 0.167 0.641
O6 0.325 0.009 0.857
O7 0.455 0.113 0.096


No. 5
# Na2PrSiO5, relaxed, DFT PBE
# DFT formation energy: -271.2 kJ/mol of atoms
# Total magnetization: 4.00 μB per cell
data_Na2PrSiO5
_chemical_formula_sum 'Na8 Pr4 Si4 O20'
_cell_length_a 9.557
_cell_length_b 7.504
_cell_length_c 6.651
_cell_angle_alpha 90.00
_cell_angle_beta 90.00
_cell_angle_gamma 90.00
_symmetry_space_group_name_H-M 'P n m a'
_symmetry_Int_Tables_number 62
loop_
_symmetry_equiv_pos_as_xyz
'x,y,z'
'-x,-y,-z'
'-x+1/2,-y,z+1/2'
'x+1/2,y,-z+1/2'
'x+1/2,-y+1/2,-z+1/2'
'-x+1/2,y+1/2,z+1/2'
'-x,y+1/2,-z'
'x,-y+1/2,z'
loop_
_atom_site_label
_atom_site_fract_x
_atom_site_fract_y
_atom_site_fract_z
Na1 0.175 0.037 0.125
Pr1 0.043 0.250 0.623
Si1 0.092 0.750 0.820
O1 0.014 0.250 0.987
O2 0.062 0.575 0.676
O3 0.215 0.750 0.285
O4 0.243 0.250 0.392


No. 6
# ZnFeCu4Ge2S8, relaxed, DFT PBE
# DFT formation energy: -61.9 kJ/mol of atoms
# Total magnetization: 8.00 μB per cell
data_ZnFeCu4Ge2S8
_chemical_formula_sum 'Zn2 Fe2 Cu8 Ge4 S16'
_cell_length_a 7.544
_cell_length_b 7.540
_cell_length_c 10.621
_cell_angle_alpha 90.00
_cell_angle_beta 90.00
_cell_angle_gamma 90.00
_symmetry_space_group_name_H-M 'A m m 2'
_symmetry_Int_Tables_number 38
loop_
_symmetry_equiv_pos_as_xyz
'x,y,z'
'-x,-y,z'
'-x,y,z'
'x,-y,z'
'x,y+1/2,z+1/2'
'-x,-y+1/2,z+1/2'
'-x,y+1/2,z+1/2'
'x,-y+1/2,z+1/2'
loop_
_atom_site_label
_atom_site_fract_x
_atom_site_fract_y
_atom_site_fract_z
Zn1 0.000 0.000 0.000
Fe1 0.500 0.000 0.500
Cu1 0.251 0.249 0.250
Ge1 0.000 0.000 0.499
Ge2 0.500 0.000 0.002
S1 0.000 0.243 0.629
S2 0.251 0.000 0.374
S3 0.257 0.000 0.872
S4 0.500 0.250 0.125


Repeat the fifth record exactly.
# Na2PrSiO5, relaxed, DFT PBE
# DFT formation energy: -271.2 kJ/mol of atoms
# Total magnetization: 4.00 μB per cell
data_Na2PrSiO5
_chemical_formula_sum 'Na8 Pr4 Si4 O20'
_cell_length_a 9.557
_cell_length_b 7.504
_cell_length_c 6.651
_cell_angle_alpha 90.00
_cell_angle_beta 90.00
_cell_angle_gamma 90.00
_symmetry_space_group_name_H-M 'P n m a'
_symmetry_Int_Tables_number 62
loop_
_symmetry_equiv_pos_as_xyz
'x,y,z'
'-x,-y,-z'
'-x+1/2,-y,z+1/2'
'x+1/2,y,-z+1/2'
'x+1/2,-y+1/2,-z+1/2'
'-x+1/2,y+1/2,z+1/2'
'-x,y+1/2,-z'
'x,-y+1/2,z'
loop_
_atom_site_label
_atom_site_fract_x
_atom_site_fract_y
_atom_site_fract_z
Na1 0.175 0.037 0.125
Pr1 0.043 0.250 0.623
Si1 0.092 0.750 0.820
O1 0.014 0.250 0.987
O2 0.062 0.575 0.676
O3 0.215 0.750 0.285
O4 0.243 0.250 0.392


Please write out number 5 again, unchanged.
# Na2PrSiO5, relaxed, DFT PBE
# DFT formation energy: -271.2 kJ/mol of atoms
# Total magnetization: 4.00 μB per cell
data_Na2PrSiO5
_chemical_formula_sum 'Na8 Pr4 Si4 O20'
_cell_length_a 9.557
_cell_length_b 7.504
_cell_length_c 6.651
_cell_angle_alpha 90.00
_cell_angle_beta 90.00
_cell_angle_gamma 90.00
_symmetry_space_group_name_H-M 'P n m a'
_symmetry_Int_Tables_number 62
loop_
_symmetry_equiv_pos_as_xyz
'x,y,z'
'-x,-y,-z'
'-x+1/2,-y,z+1/2'
'x+1/2,y,-z+1/2'
'x+1/2,-y+1/2,-z+1/2'
'-x+1/2,y+1/2,z+1/2'
'-x,y+1/2,-z'
'x,-y+1/2,z'
loop_
_atom_site_label
_atom_site_fract_x
_atom_site_fract_y
_atom_site_fract_z
Na1 0.175 0.037 0.125
Pr1 0.043 0.250 0.623
Si1 0.092 0.750 0.820
O1 0.014 0.250 0.987
O2 0.062 0.575 0.676
O3 0.215 0.750 0.285
O4 0.243 0.250 0.392